The following is a DFT calculation (PBE) of CsCaI3 after structural relaxation.

Properties
E_form	-1.844	eV per atom
calculated density	3.94	g cm⁻³
SG	No. 62

a = 4.7639 Å, b = 10.8021 Å, c = 18.1188 Å
α = 90.00°, β = 90.00°, γ = 90.00°
Closest atoms and distances in Å follow each position.
Element x y z (fractional)
I 0.2500 0.1708 0.4966  2 Ca 3.17
I 0.7500 0.3292 0.9966  2 Ca 3.17
I 0.2500 0.0241 0.8995  3 Ca 3.20-3.22
I 0.7500 0.8292 0.5034  2 Ca 3.17
I 0.2500 0.2853 0.2085  1 Ca 3.07
I 0.7500 0.4759 0.3995  3 Ca 3.20-3.22
I 0.2500 0.6708 0.0034  2 Ca 3.17
I 0.2500 0.7853 0.2915  1 Ca 3.07
I 0.7500 0.2147 0.7085  1 Ca 3.07
I 0.2500 0.5241 0.6005  3 Ca 3.20-3.22
I 0.7500 0.7147 0.7915  1 Ca 3.07
I 0.7500 0.9759 0.1005  3 Ca 3.20-3.22
Ca 0.2500 0.6626 0.4441  6 I 3.07-3.22
Ca 0.7500 0.3374 0.5559  6 I 3.07-3.22
Ca 0.2500 0.1626 0.0559  6 I 3.07-3.22
Ca 0.7500 0.8374 0.9441  6 I 3.07-3.22
Cs 0.7500 0.5715 0.1752  8 I 3.93-4.19
Cs 0.2500 0.4285 0.8248  8 I 3.93-4.19
Cs 0.2500 0.9285 0.6752  8 I 3.93-4.19
Cs 0.7500 0.0715 0.3248  8 I 3.93-4.19